## Dy3Mg (GGA-PBE)

Data for a relaxed Dy3Mg crystal.

Output
Its calculated formation energy is -0.02 eV per atom. Its theoretical density is 7.2 g cm⁻³.

Lattice parameters (Å, degrees): 3.5465 3.5465 9.4160 90.00 90.00 90.00
Closest atoms and distances in Å follow each position.
Atoms (fractional coordinates):
1 Dy 0.0000 0.0000 0.5000  12 Dy 3.50-3.55
2 Dy 0.5000 0.5000 0.2401  4 Mg 3.38, 8 Dy 3.50-3.55
3 Mg 0.0000 0.0000 0.0000  8 Dy 3.38, 4 Mg 3.55
4 Dy 0.5000 0.5000 0.7599  4 Mg 3.38, 8 Dy 3.50-3.55

## Sr5CeNd3Cu4PbO18 (GGA-PBE)

Data for a relaxed Sr5CeNd3Cu4PbO18 crystal.

Output
Its calculated formation energy is -2.61 eV per atom. The calculation puts the total magnetization at 0.040 μB/atom. Its theoretical density is 6.4 g cm⁻³. For the MP2020-corrected energy, the calculation gives -6.916 eV per atom.

Lattice parameters (Å, degrees): 15.4211 15.4211 5.4762 90.00 90.00 159.53
Closest atoms and distances in Å follow each position.
Atoms (fractional coordinates):
1 O 0.4072 0.1046 0.2506  2 Cu 1.92-1.98
2 O 0.8954 0.5928 0.2506  2 Cu 1.92-1.98
3 O 0.9932 0.4960 0.2445  1 Ce 2.24, 3 Nd 2.36
4 Sr 0.4122 0.5878 0.0000  9 O 2.67-2.79
5 O 0.9932 0.4960 0.7555  1 Ce 2.24, 3 Nd 2.36
6 O 0.5040 0.0068 0.2445  1 Ce 2.24, 3 Nd 2.36
7 Nd 0.2931 0.7069 0.0000  8 O 2.36-2.58
8 Sr 0.9122 0.0878 0.5000  9 O 2.67-2.79
9 Cu 0.6466 0.3534 0.5000  4 O 1.92
10 Pb 0.5000 0.5000 0.5000  2 O 2.13
11 Cu 0.8578 0.1422 0.0000  5 O 1.98-1.99
12 Nd 0.2061 0.7939 0.5000  8 O 2.36-2.57
13 Cu 0.3541 0.6459 0.5000  4 O 1.92
14 O 0.5961 0.8973 0.7467  2 Cu 1.92-1.98
15 O 0.0767 0.9233 0.0000  1 Cu 2.01
16 Cu 0.1429 0.8571 0.0000  5 O 1.98-2.01
17 Sr 0.0000 0.0000 0.0000  2 O 2.33
18 O 0.5701 0.4299 0.5000  1 Pb 2.13, 1 Cu 2.32
19 O 0.4299 0.5701 0.5000  1 Pb 2.13, 1 Cu 2.30
20 Nd 0.7931 0.2069 0.5000  8 O 2.36-2.58
21 O 0.8954 0.5928 0.7494  2 Cu 1.92-1.98
22 O 0.1027 0.4039 0.2533  2 Cu 1.92-1.98
23 O 0.4072 0.1046 0.7494  2 Cu 1.92-1.98
24 O 0.5000 0.5000 0.0000  4 Sr 2.67-2.74, 2 Pb 2.74
25 Ce 0.7091 0.2909 0.0000  4 O 2.24
26 O 0.1027 0.4039 0.7467  2 Cu 1.92-1.98
27 O 0.5040 0.0068 0.7555  1 Ce 2.24, 3 Nd 2.36
28 O 0.5961 0.8973 0.2533  2 Cu 1.92-1.98
29 O 0.9233 0.0767 0.0000  1 Cu 1.99
30 Sr 0.5880 0.4120 0.0000  9 O 2.67-2.79
31 Sr 0.0873 0.9127 0.5000  9 O 2.64-2.79
32 O 0.0002 0.9998 0.5000  4 Sr 2.64-2.74, 2 Pb 2.74

## NdAl11O18 (GGA-PBE)

Data for a relaxed NdAl11O18 crystal.

Output
Its calculated formation energy is -3.37 eV per atom. The calculation puts the total magnetization at 0.000 μB/atom. Its theoretical density is 3.9 g cm⁻³. For the MP2020-corrected energy, the calculation gives -7.876 eV per atom. The relative energy among the computed polymorphs is 0.00 eV/f.u.

Lattice parameters (Å, degrees): 5.6090 11.6733 5.7718 106.13 59.39 104.49
Closest atoms and distances in Å follow each position.
Atoms (fractional coordinates):
1 O 0.1105 0.2870 0.6041  3 Al 1.81-1.84
2 O 0.3879 0.6950 0.9089  3 Al 1.85-1.90
3 Al 0.0864 0.7822 0.0935  4 O 1.81-2.02
4 O 0.8027 0.8966 0.8141  3 Al 1.83-1.99
5 O 0.6776 0.5035 0.5551  2 Al 1.84
6 O 0.1925 0.0974 0.7260  4 Al 1.82-2.03
7 Al 0.5865 0.7927 0.0968  6 O 1.84-2.00
8 O 0.1973 0.1034 0.1859  3 Al 1.83-1.99
9 O 0.5902 0.2920 0.6204  3 Al 1.83-1.95
10 Al 0.0849 0.7750 0.5867  3 O 1.82-1.86
11 Al 0.4626 0.3732 0.4579  5 O 1.84-1.95
12 O 0.2926 0.8919 0.2908  3 Al 1.83-2.02
13 O 0.8902 0.7056 0.8994  3 Al 1.86-1.87
14 Al 0.5374 0.6268 0.5421  5 O 1.84-1.95
15 O 0.7248 0.1080 0.1923  2 Al 1.82-1.91
16 Al 0.9151 0.2250 0.4133  3 O 1.82-1.86
17 O 0.2752 0.8920 0.8077  2 Al 1.82-1.91
18 Nd 0.5000 0.5000 0.0000  2 O 2.24
19 Al 0.3508 0.0566 0.3540  4 O 1.82-1.83
20 O 0.4098 0.7080 0.3796  3 Al 1.83-1.95
21 O 0.3224 0.4965 0.4449  2 Al 1.84
22 O 0.8895 0.7130 0.3959  3 Al 1.81-1.84
23 Al 0.6492 0.9434 0.6460  4 O 1.82-1.83
24 Al 0.4135 0.2073 0.9032  6 O 1.84-2.00
25 O 0.6121 0.3050 0.0911  3 Al 1.85-1.90
26 O 0.8075 0.9026 0.2740  4 Al 1.82-2.03
27 Al 0.9136 0.2178 0.9065  4 O 1.81-2.02
28 Al 0.0000 0.0000 0.0000  6 O 1.90-1.91
29 O 0.1098 0.2944 0.1006  3 Al 1.86-1.87
30 O 0.7074 0.1081 0.7092  3 Al 1.83-2.02

## Th2AsNO (GGA-PBE)

Data for a relaxed Th2AsNO crystal.

Output
Its calculated formation energy is -2.42 eV per atom. The calculation puts the total magnetization at 0.000 μB/atom. Its theoretical density is 9.4 g cm⁻³. For the MP2020-corrected energy, the calculation gives -8.972 eV per atom.

Lattice parameters (Å, degrees): 4.0590 4.0590 7.0086 90.00 90.00 120.00
Closest atoms and distances in Å follow each position.
Atoms (fractional coordinates):
1 As 0.3333 0.6667 0.9923  6 Th 3.04-3.10
2 Th 0.6667 0.3333 0.7165  1 N 2.35, 3 O 2.42
3 O 0.0000 0.0000 0.6282  4 Th 2.42-2.43
4 Th 0.0000 0.0000 0.2816  1 O 2.43, 3 N 2.45
5 N 0.6667 0.3333 0.3814  4 Th 2.35-2.45